[1]
A plane-wave DFT calculation with PBE was carried out for an optimized crystal structure of MgSb3XeF23.

Cell and atoms, written as CIF:
```
data_MgSb3XeF23
_space_group_name_H-M_alt 'P 1 21/c 1'
_space_group_IT_number 14
_space_group_name_Hall '-P 2ybc'
_cell_length_a 11.046
_cell_length_b 10.825
_cell_length_c 19.125
_cell_angle_alpha 90.00
_cell_angle_beta 125.07
_cell_angle_gamma 90.00
loop_
_atom_site_label
_atom_site_type_symbol
_atom_site_fract_x
_atom_site_fract_y
_atom_site_fract_z
_atom_site_occupancy
Mg1 Mg 0.000 0.000 0.000 1
Mg2 Mg 0.500 0.000 0.500 1
Sb1 Sb 0.193 0.206 0.487 1
Sb2 Sb 0.273 0.506 0.747 1
Sb3 Sb 0.285 0.709 0.493 1
Xe1 Xe 0.298 0.053 0.754 1
F1 F 0.055 0.081 0.462 1
F2 F 0.057 0.165 0.977 1
F3 F 0.089 0.027 0.229 1
F4 F 0.111 0.140 0.676 1
F5 F 0.116 0.222 0.370 1
F6 F 0.134 0.588 0.475 1
F7 F 0.165 0.563 0.257 1
F8 F 0.165 0.741 0.877 1
F9 F 0.178 0.014 0.124 1
F10 F 0.195 0.672 0.022 1
F11 F 0.237 0.678 0.732 1
F12 F 0.255 0.554 0.159 1
F13 F 0.273 0.189 0.607 1
F14 F 0.303 0.126 0.849 1
F15 F 0.322 0.166 0.263 1
F16 F 0.335 0.169 0.017 1
F17 F 0.336 0.081 0.501 1
F18 F 0.368 0.521 0.871 1
F19 F 0.376 0.587 0.468 1
F20 F 0.410 0.661 0.612 1
F21 F 0.435 0.667 0.015 1
F22 F 0.446 0.569 0.332 1
F23 F 0.461 0.536 0.766 1
```

---

[2]
A plane-wave DFT calculation with PBE was carried out for an optimized crystal structure of SrMgF4.

Cell and atoms, written as CIF:
```
data_SrMgF4
_space_group_name_H-M_alt 'P 1 21 1'
_space_group_IT_number 4
_space_group_name_Hall 'P 2yb'
_cell_length_a 7.642
_cell_length_b 17.113
_cell_length_c 7.907
_cell_angle_alpha 90.00
_cell_angle_beta 104.89
_cell_angle_gamma 90.00
loop_
_atom_site_label
_atom_site_type_symbol
_atom_site_fract_x
_atom_site_fract_y
_atom_site_fract_z
_atom_site_occupancy
Sr1 Sr 0.151 0.000 0.162 1
Sr2 Sr 0.159 0.670 0.664 1
Sr3 Sr 0.167 0.336 0.165 1
Sr4 Sr 0.182 0.992 0.668 1
Sr5 Sr 0.204 0.654 0.180 1
Sr6 Sr 0.222 0.318 0.681 1
Mg1 Mg 0.329 0.811 0.957 1
Mg2 Mg 0.331 0.813 0.457 1
Mg3 Mg 0.333 0.478 0.460 1
Mg4 Mg 0.338 0.146 0.962 1
Mg5 Mg 0.339 0.478 0.957 1
Mg6 Mg 0.341 0.146 0.458 1
F1 F 0.092 0.751 0.375 1
F2 F 0.096 0.086 0.888 1
F3 F 0.099 0.413 0.424 1
F4 F 0.100 0.747 0.925 1
F5 F 0.109 0.082 0.412 1
F6 F 0.111 0.411 0.878 1
F7 F 0.165 0.906 0.927 1
F8 F 0.172 0.238 0.403 1
F9 F 0.172 0.571 0.904 1
F10 F 0.181 0.573 0.437 1
F11 F 0.208 0.914 0.412 1
F12 F 0.209 0.245 0.944 1
F13 F 0.282 0.479 0.194 1
F14 F 0.284 0.809 0.696 1
F15 F 0.332 0.124 0.209 1
F16 F 0.340 0.162 0.710 1
F17 F 0.373 0.464 0.717 1
F18 F 0.376 0.800 0.218 1
F19 F 0.422 0.698 0.959 1
F20 F 0.426 0.702 0.502 1
F21 F 0.429 0.365 0.453 1
F22 F 0.433 0.036 0.949 1
F23 F 0.447 0.039 0.530 1
F24 F 0.448 0.371 0.020 1
```

---

[3]
A plane-wave DFT calculation with PBE was carried out for an optimized crystal structure of SrMgF4.

Cell and atoms, written as CIF:
```
data_SrMgF4
_space_group_name_H-M_alt 'P 1 21/m 1'
_space_group_IT_number 11
_space_group_name_Hall '-P 2yb'
_cell_length_a 7.789
_cell_length_b 16.804
_cell_length_c 8.153
_cell_angle_alpha 90.00
_cell_angle_beta 105.19
_cell_angle_gamma 90.00
loop_
_atom_site_label
_atom_site_type_symbol
_atom_site_fract_x
_atom_site_fract_y
_atom_site_fract_z
_atom_site_occupancy
Sr1 Sr 0.156 0.250 0.164 1
Sr2 Sr 0.161 0.582 0.665 1
Sr3 Sr 0.164 0.250 0.666 1
Sr4 Sr 0.164 0.585 0.166 1
Mg1 Mg 0.321 0.083 0.955 1
Mg2 Mg 0.323 0.083 0.456 1
Mg3 Mg 0.324 0.750 0.456 1
Mg4 Mg 0.328 0.750 0.957 1
F1 F 0.124 0.165 0.906 1
F2 F 0.127 0.000 0.909 1
F3 F 0.128 0.001 0.405 1
F4 F 0.128 0.166 0.407 1
F5 F 0.129 0.668 0.409 1
F6 F 0.133 0.667 0.906 1
F7 F 0.293 0.081 0.698 1
F8 F 0.294 0.750 0.198 1
F9 F 0.300 0.085 0.200 1
F10 F 0.308 0.750 0.702 1
F11 F 0.493 0.168 0.990 1
F12 F 0.499 0.167 0.507 1
F13 F 0.500 0.000 0.000 1
F14 F 0.500 0.000 0.500 1
```

---

[4]
A plane-wave DFT calculation with PBE was carried out for an optimized crystal structure of SrMgF4.

Cell and atoms, written as CIF:
```
data_SrMgF4
_space_group_name_H-M_alt 'C m c m'
_space_group_IT_number 63
_space_group_name_Hall '-C 2c 2'
_cell_length_a 4.077
_cell_length_b 15.027
_cell_length_c 5.601
_cell_angle_alpha 90.00
_cell_angle_beta 90.00
_cell_angle_gamma 90.00
loop_
_atom_site_label
_atom_site_type_symbol
_atom_site_fract_x
_atom_site_fract_y
_atom_site_fract_z
_atom_site_occupancy
Sr1 Sr 0.000 0.169 0.250 1
Mg1 Mg 0.000 0.412 0.250 1
F1 F 0.000 0.101 0.750 1
F2 F 0.000 0.314 0.002 1
F3 F 0.000 0.500 0.000 1
```

---

[5]
A plane-wave DFT calculation with PBE was carried out for an optimized crystal structure of SrMgF4.

Cell and atoms, written as CIF:
```
data_SrMgF4
_space_group_name_H-M_alt 'C m c 21'
_space_group_IT_number 36
_space_group_name_Hall 'C 2c -2'
_cell_length_a 3.994
_cell_length_b 14.605
_cell_length_c 5.687
_cell_angle_alpha 90.00
_cell_angle_beta 90.00
_cell_angle_gamma 90.00
loop_
_atom_site_label
_atom_site_type_symbol
_atom_site_fract_x
_atom_site_fract_y
_atom_site_fract_z
_atom_site_occupancy
Sr1 Sr 0.000 0.157 0.000 1
Mg1 Mg 0.000 0.416 0.051 1
F1 F 0.000 0.084 0.569 1
F2 F 0.000 0.298 0.244 1
F3 F 0.000 0.338 0.766 1
F4 F 0.000 0.466 0.386 1
```

---

[6]
# MgTiF5 (PBE, optimized geometry)
data_MgTiF5
_space_group_name_H-M_alt 'P 1 21/c 1'
_space_group_IT_number 14
_space_group_name_Hall '-P 2ybc'
_cell_length_a 5.274
_cell_length_b 9.802
_cell_length_c 7.451
_cell_angle_alpha 90.00
_cell_angle_beta 109.42
_cell_angle_gamma 90.00
loop_
_atom_site_label
_atom_site_type_symbol
_atom_site_fract_x
_atom_site_fract_y
_atom_site_fract_z
_atom_site_occupancy
Mg1 Mg 0.019 0.010 0.247 1
Ti1 Ti 0.404 0.246 0.605 1
F1 F 0.111 0.110 0.580 1
F2 F 0.145 0.106 0.991 1
F3 F 0.281 0.635 0.338 1
F4 F 0.320 0.178 0.333 1
F5 F 0.343 0.599 0.804 1
# relative energy among the computed polymorphs	0.017	eV per atom

---

no.,E (MP2020) (eV/atom),energy relative to the elements (eV/atom),raw total energy (eV/atom)
1,-4.381,-2.307,-4.001
2,-5.832,-4.007,-5.524
3,-5.797,-3.972,-5.489
4,-5.797,-3.972,-5.489
5,-5.829,-4.004,-5.521
6,-6.378,-3.654,-6.048